This record from Materials Project describes a relaxed structure of PrAl3Ni2. The functional is r2SCAN.

Summary:
ΔH_f (0 K) (eV per atom): -0.61
Final energy (eV per atom): -12.87
Space group: P6/mmm
Crystal system: hexagonal

```
PrAl3Ni2
1.0
5.334 0.000 0.000
-2.667 4.619 0.000
0.000 0.000 4.008
Pr Al Ni
1 3 2
direct
0.000 0.000 0.000 Pr
0.000 0.500 0.500 Al
0.500 0.000 0.500 Al
0.500 0.500 0.500 Al
0.333 0.667 0.000 Ni
0.667 0.333 0.000 Ni
```

=====

This record from Materials Project describes a relaxed structure of LaTeCl. The functional is r2SCAN.

Summary:
ΔH_f (0 K) (eV per atom): -2.28
Final energy (eV per atom): -22.71
ΔE to the lowest computed polymorph (meV/atom): 0
Space group: Pnma
Crystal system: orthorhombic

```
LaTeCl
1.0
8.000 0.000 0.000
0.000 4.538 0.000
0.000 0.000 9.467
La Te Cl
4 4 4
direct
0.238 0.250 0.131 La
0.262 0.750 0.631 La
0.738 0.250 0.369 La
0.762 0.750 0.869 La
0.038 0.750 0.331 Te
0.462 0.250 0.831 Te
0.538 0.750 0.169 Te
0.962 0.250 0.669 Te
0.135 0.750 0.941 Cl
0.365 0.250 0.441 Cl
0.635 0.750 0.559 Cl
0.865 0.250 0.059 Cl
```

=====

Question: Among the records above, which one has the lowest final energy?
Answer: LaTeCl

=====

Question: What is the formula in the first record?
Answer: PrAl3Ni2

=====

Question: ΔH_f (0 K) of number 2 (LaTeCl)?
Answer: -2.28 eV per atom

=====

Question: Number 2 is which compound?
Answer: LaTeCl